# CsVBr3, relaxed, DFT GGA-PBE
# Energy: -4.24 eV per atom
data_CsVBr3
_cell_length_a 7.731
_cell_length_b 7.731
_cell_length_c 6.575
_cell_angle_alpha 90.00
_cell_angle_beta 90.00
_cell_angle_gamma 120.00
_symmetry_space_group_name_H-M 'P 1'
_symmetry_Int_Tables_number 1
loop_
_symmetry_equiv_pos_as_xyz
'x,y,z'
loop_
_atom_site_label
_atom_site_type_symbol
_atom_site_fract_x
_atom_site_fract_y
_atom_site_fract_z
_atom_site_occupancy
Cs1 Cs 0.333 0.667 0.250 1
Cs2 Cs 0.667 0.333 0.750 1
V1 V 0.000 0.000 0.000 1
V2 V 0.000 0.000 0.500 1
Br1 Br 0.156 0.311 0.750 1
Br2 Br 0.156 0.844 0.750 1
Br3 Br 0.311 0.156 0.250 1
Br4 Br 0.689 0.844 0.750 1
Br5 Br 0.844 0.156 0.250 1
Br6 Br 0.844 0.689 0.250 1

# LuAl, relaxed, DFT GGA-PBE
# Energy: -4.53 eV per atom
data_LuAl
_cell_length_a 5.764
_cell_length_b 11.205
_cell_length_c 5.524
_cell_angle_alpha 90.00
_cell_angle_beta 90.00
_cell_angle_gamma 90.00
_symmetry_space_group_name_H-M 'P 1'
_symmetry_Int_Tables_number 1
loop_
_symmetry_equiv_pos_as_xyz
'x,y,z'
loop_
_atom_site_label
_atom_site_type_symbol
_atom_site_fract_x
_atom_site_fract_y
_atom_site_fract_z
_atom_site_occupancy
Lu1 Lu 0.105 0.170 0.250 1
Lu2 Lu 0.105 0.330 0.750 1
Lu3 Lu 0.341 0.018 0.750 1
Lu4 Lu 0.341 0.482 0.250 1
Lu5 Lu 0.659 0.518 0.750 1
Lu6 Lu 0.659 0.982 0.250 1
Lu7 Lu 0.895 0.670 0.250 1
Lu8 Lu 0.895 0.830 0.750 1
Al1 Al 0.156 0.596 0.750 1
Al2 Al 0.156 0.904 0.250 1
Al3 Al 0.429 0.750 0.000 1
Al4 Al 0.429 0.750 0.500 1
Al5 Al 0.571 0.250 0.000 1
Al6 Al 0.571 0.250 0.500 1
Al7 Al 0.844 0.096 0.750 1
Al8 Al 0.844 0.404 0.250 1

# Ca3Ta3N5, relaxed, DFT GGA-PBE
# Magnetization: 0.00 Bohr magnetons per cell
# Energy: -8.50 eV per atom
data_Ca3Ta3N5
_cell_length_a 5.970
_cell_length_b 8.090
_cell_length_c 8.411
_cell_angle_alpha 109.82
_cell_angle_beta 106.22
_cell_angle_gamma 105.06
_symmetry_space_group_name_H-M 'P 1'
_symmetry_Int_Tables_number 1
loop_
_symmetry_equiv_pos_as_xyz
'x,y,z'
loop_
_atom_site_label
_atom_site_type_symbol
_atom_site_fract_x
_atom_site_fract_y
_atom_site_fract_z
_atom_site_occupancy
Ca1 Ca 0.162 0.345 0.370 1
Ca2 Ca 0.202 0.155 0.721 1
Ca3 Ca 0.216 0.927 0.099 1
Ca4 Ca 0.784 0.073 0.901 1
Ca5 Ca 0.798 0.845 0.279 1
Ca6 Ca 0.838 0.655 0.630 1
Ta1 Ta 0.232 0.493 0.058 1
Ta2 Ta 0.373 0.793 0.435 1
Ta3 Ta 0.391 0.631 0.803 1
Ta4 Ta 0.609 0.369 0.197 1
Ta5 Ta 0.627 0.207 0.565 1
Ta6 Ta 0.768 0.507 0.942 1
N1 N 0.078 0.584 0.863 1
N2 N 0.241 0.199 0.037 1
N3 N 0.257 0.719 0.608 1
N4 N 0.262 0.018 0.420 1
N5 N 0.473 0.417 0.663 1
N6 N 0.527 0.583 0.337 1
N7 N 0.738 0.982 0.580 1
N8 N 0.743 0.281 0.392 1
N9 N 0.759 0.801 0.963 1
N10 N 0.922 0.416 0.137 1

# Na2MgTiO3, relaxed, DFT GGA-PBE
# Magnetization: 0.92 Bohr magnetons per cell
# Energy: -5.68 eV per atom
# E above lowest polymorph: 42.9 meV/atom
data_Na2MgTiO3
_cell_length_a 6.668
_cell_length_b 6.668
_cell_length_c 6.668
_cell_angle_alpha 153.33
_cell_angle_beta 57.16
_cell_angle_gamma 130.44
_symmetry_space_group_name_H-M 'P 1'
_symmetry_Int_Tables_number 1
loop_
_symmetry_equiv_pos_as_xyz
'x,y,z'
loop_
_atom_site_label
_atom_site_type_symbol
_atom_site_fract_x
_atom_site_fract_y
_atom_site_fract_z
_atom_site_occupancy
Na1 Na 0.250 0.000 0.250 1
Na2 Na 0.750 0.000 0.750 1
Mg1 Mg 0.647 0.647 0.000 1
Ti1 Ti 0.205 0.705 0.500 1
O1 O 0.232 0.338 0.894 1
O2 O 0.444 0.338 0.106 1
O3 O 0.867 0.367 0.500 1